# Sr3Ga4O9 | the Materials Project database | r²SCAN | optimized geometry
data_Sr3Ga4O9
_cell_length_a 6.7648
_cell_length_b 8.0490
_cell_length_c 9.7389
_cell_angle_alpha 85.14
_cell_angle_beta 72.61
_cell_angle_gamma 74.33
_space_group_name_H-M_alt 'P -1'
_space_group_IT_number 2
_space_group_name_Hall '-P 1'
loop_
_atom_site_label
_atom_site_type_symbol
_atom_site_fract_x
_atom_site_fract_y
_atom_site_fract_z
_atom_site_occupancy
Sr1 Sr 0.0588 0.0517 0.1883 1
Sr2 Sr 0.1860 0.5682 0.1769 1
Sr3 Sr 0.3124 0.2154 0.4607 1
Ga1 Ga 0.2512 0.7500 0.4431 1
Ga2 Ga 0.3349 0.5521 0.7333 1
Ga3 Ga 0.3901 0.1707 0.8001 1
Ga4 Ga 0.4392 0.8053 0.9193 1
O1 O 0.0197 0.8166 0.3751 1
O2 O 0.2053 0.3737 0.7628 1
O3 O 0.2156 0.7416 0.6384 1
O4 O 0.2421 0.0155 0.8989 1
O5 O 0.2914 0.2420 0.2027 1
O6 O 0.3017 0.6357 0.9125 1
O7 O 0.3774 0.5219 0.3713 1
O8 O 0.4108 0.8005 0.1148 1
O9 O 0.4370 0.8977 0.3854 1
# VASP energy   -11.602 eV/atom
# E_form   -2.54 eV per atom
# Total magnetic moment   0.0 Bohr magnetons per cell

# Sr2TaGaO6 | the Materials Project database | r²SCAN | optimized geometry
data_Sr2TaGaO6
_cell_length_a 5.5717
_cell_length_b 5.5717
_cell_length_c 7.9418
_cell_angle_alpha 90.00
_cell_angle_beta 90.00
_cell_angle_gamma 90.00
_space_group_name_H-M_alt 'I 4/m'
_space_group_IT_number 87
_space_group_name_Hall '-I 4'
loop_
_atom_site_label
_atom_site_type_symbol
_atom_site_fract_x
_atom_site_fract_y
_atom_site_fract_z
_atom_site_occupancy
Sr1 Sr 0.0000 0.5000 0.2500 1
Ta1 Ta 0.0000 0.0000 0.0000 1
Ga1 Ga 0.0000 0.0000 0.5000 1
O1 O 0.0000 0.0000 0.2498 1
O2 O 0.2221 0.2779 0.0000 1
# VASP energy   -15.666 eV/atom
# E_form   -3.05 eV per atom
# Total magnetic moment   0.0 Bohr magnetons per cell

# Ga2Te4O11 | the Materials Project database | r²SCAN | optimized geometry
data_Ga2Te4O11
_cell_length_a 5.1341
_cell_length_b 6.5675
_cell_length_c 8.2233
_cell_angle_alpha 74.83
_cell_angle_beta 89.79
_cell_angle_gamma 69.81
_space_group_name_H-M_alt 'P 1'
_space_group_IT_number 1
_space_group_name_Hall 'P 1'
loop_
_atom_site_label
_atom_site_type_symbol
_atom_site_fract_x
_atom_site_fract_y
_atom_site_fract_z
_atom_site_occupancy
Ga1 Ga 0.0000 0.0000 0.0000 1
Ga2 Ga 0.2998 0.3921 0.6280 1
Te1 Te 0.0314 0.0227 0.4222 1
Te2 Te 0.2473 0.4289 0.0120 1
Te3 Te 0.5793 0.8623 0.8016 1
Te4 Te 0.7089 0.6094 0.3471 1
O1 O 0.0205 0.2933 0.9434 1
O2 O 0.0336 0.3127 0.3067 1
O3 O 0.2644 0.1106 0.6635 1
O4 O 0.3102 0.5513 0.7840 1
O5 O 0.3754 0.8248 0.9912 1
O6 O 0.4177 0.8655 0.4253 1
O7 O 0.5657 0.3944 0.4751 1
O8 O 0.6856 0.0970 0.8423 1
O9 O 0.9161 0.9646 0.2248 1
O10 O 0.9459 0.6912 0.0153 1
O11 O 0.9554 0.6025 0.5177 1
# VASP energy   -12.579 eV/atom
# E_form   -1.39 eV per atom
# Total magnetic moment   0.0 Bohr magnetons per cell

# Ga2Te3O9 | the Materials Project database | r²SCAN | optimized geometry
data_Ga2Te3O9
_cell_length_a 9.1367
_cell_length_b 9.1367
_cell_length_c 7.4991
_cell_angle_alpha 90.00
_cell_angle_beta 90.00
_cell_angle_gamma 120.00
_space_group_name_H-M_alt 'P 63/m'
_space_group_IT_number 176
_space_group_name_Hall '-P 6c'
loop_
_atom_site_label
_atom_site_type_symbol
_atom_site_fract_x
_atom_site_fract_y
_atom_site_fract_z
_atom_site_occupancy
Ga1 Ga 0.3333 0.6667 0.0626 1
Te1 Te 0.0417 0.5552 0.7500 1
O1 O 0.1446 0.4937 0.5689 1
O2 O 0.1650 0.6563 0.2500 1
# VASP energy   -12.373 eV/atom
# E_form   -1.45 eV per atom
# Total magnetic moment   0.0 Bohr magnetons per cell

# ZnGa2Te4O12 | the Materials Project database | r²SCAN | optimized geometry
data_ZnGa2Te4O12
_cell_length_a 10.5613
_cell_length_b 10.5613
_cell_length_c 10.6727
_cell_angle_alpha 90.00
_cell_angle_beta 90.00
_cell_angle_gamma 90.00
_space_group_name_H-M_alt 'I -4 2 d'
_space_group_IT_number 122
_space_group_name_Hall 'I -4 2bw'
loop_
_atom_site_label
_atom_site_type_symbol
_atom_site_fract_x
_atom_site_fract_y
_atom_site_fract_z
_atom_site_occupancy
Zn1 Zn 0.0000 0.0000 0.0000 1
Ga1 Ga 0.1190 0.2500 0.6250 1
Te1 Te 0.1108 0.1489 0.2613 1
O1 O 0.0295 0.1285 0.7109 1
O2 O 0.0956 0.1286 0.0873 1
O3 O 0.1717 0.7106 0.7491 1
# VASP energy   -12.236 eV/atom
# E_form   -1.44 eV per atom
# Total magnetic moment   0.0 Bohr magnetons per cell

# TiGa4O8 | the Materials Project database | r²SCAN | optimized geometry
data_TiGa4O8
_cell_length_a 12.2678
_cell_length_b 3.0299
_cell_length_c 9.5058
_cell_angle_alpha 90.00
_cell_angle_beta 124.25
_cell_angle_gamma 90.00
_space_group_name_H-M_alt 'C 1 2/m 1'
_space_group_IT_number 12
_space_group_name_Hall '-C 2y'
loop_
_atom_site_label
_atom_site_type_symbol
_atom_site_fract_x
_atom_site_fract_y
_atom_site_fract_z
_atom_site_occupancy
Ti1 Ti 0.0000 0.0000 0.0000 1
Ga1 Ga 0.0351 0.5000 0.7115 1
Ga2 Ga 0.2403 0.0000 0.6366 1
O1 O 0.0568 0.5000 0.9202 1
O2 O 0.1071 0.0000 0.6882 1
O3 O 0.1459 0.5000 0.4598 1
O4 O 0.1658 0.0000 0.2196 1
# VASP energy   -10.558 eV/atom
# E_form   -2.37 eV per atom
# Total magnetic moment   0.0 Bohr magnetons per cell

# Ga3Os | the Materials Project database | r²SCAN | optimized geometry
data_Ga3Os
_cell_length_a 6.4860
_cell_length_b 6.4860
_cell_length_c 6.7948
_cell_angle_alpha 90.00
_cell_angle_beta 90.00
_cell_angle_gamma 90.00
_space_group_name_H-M_alt 'P 42/m n m'
_space_group_IT_number 136
_space_group_name_Hall '-P 4n 2n'
loop_
_atom_site_label
_atom_site_type_symbol
_atom_site_fract_x
_atom_site_fract_y
_atom_site_fract_z
_atom_site_occupancy
Ga1 Ga 0.0000 0.5000 0.0000 1
Ga2 Ga 0.1544 0.1544 0.2339 1
Os1 Os 0.1612 0.8388 0.0000 1
# VASP energy   -22.143 eV/atom
# E_form   -0.31 eV per atom
# Total magnetic moment   0.0 Bohr magnetons per cell

# TmGa3Os | the Materials Project database | r²SCAN | optimized geometry
data_TmGa3Os
_cell_length_a 6.3407
_cell_length_b 6.3407
_cell_length_c 6.3407
_cell_angle_alpha 90.00
_cell_angle_beta 90.00
_cell_angle_gamma 90.00
_space_group_name_H-M_alt 'P m -3 m'
_space_group_IT_number 221
_space_group_name_Hall '-P 4 2 3'
loop_
_atom_site_label
_atom_site_type_symbol
_atom_site_fract_x
_atom_site_fract_y
_atom_site_fract_z
_atom_site_occupancy
Tm1 Tm 0.0000 0.0000 0.5000 1
Ga1 Ga 0.0000 0.0000 0.0000 1
Ga2 Ga 0.2884 0.2884 0.2884 1
Os1 Os 0.0000 0.5000 0.5000 1
# VASP energy   -25.044 eV/atom
# E_form   -0.56 eV per atom
# Total magnetic moment   0.0 Bohr magnetons per cell

# UGa5Os | the Materials Project database | r²SCAN | optimized geometry
data_UGa5Os
_cell_length_a 4.3369
_cell_length_b 4.3369
_cell_length_c 6.8070
_cell_angle_alpha 90.00
_cell_angle_beta 90.00
_cell_angle_gamma 90.00
_space_group_name_H-M_alt 'P 4/m m m'
_space_group_IT_number 123
_space_group_name_Hall '-P 4 2'
loop_
_atom_site_label
_atom_site_type_symbol
_atom_site_fract_x
_atom_site_fract_y
_atom_site_fract_z
_atom_site_occupancy
U1 U 0.0000 0.0000 0.0000 1
Ga1 Ga 0.0000 0.5000 0.3051 1
Ga2 Ga 0.5000 0.5000 0.0000 1
Os1 Os 0.0000 0.0000 0.5000 1
# VASP energy   -27.537 eV/atom
# E_form   -0.37 eV per atom
# Total magnetic moment   2.3 Bohr magnetons per cell

# GaPPd5 | the Materials Project database | r²SCAN | optimized geometry
data_GaPPd5
_cell_length_a 3.9027
_cell_length_b 3.9027
_cell_length_c 6.7968
_cell_angle_alpha 90.00
_cell_angle_beta 90.00
_cell_angle_gamma 90.00
_space_group_name_H-M_alt 'P 4/m m m'
_space_group_IT_number 123
_space_group_name_Hall '-P 4 2'
loop_
_atom_site_label
_atom_site_type_symbol
_atom_site_fract_x
_atom_site_fract_y
_atom_site_fract_z
_atom_site_occupancy
Ga1 Ga 0.0000 0.0000 0.0000 1
P1 P 0.5000 0.5000 0.5000 1
Pd1 Pd 0.0000 0.5000 0.2910 1
Pd2 Pd 0.5000 0.5000 0.0000 1
# VASP energy   -19.898 eV/atom
# E_form   -0.58 eV per atom
# Total magnetic moment   0.0 Bohr magnetons per cell

# GaPS4 | the Materials Project database | r²SCAN | optimized geometry
data_GaPS4
_cell_length_a 8.3805
_cell_length_b 7.9647
_cell_length_c 11.9275
_cell_angle_alpha 90.00
_cell_angle_beta 132.56
_cell_angle_gamma 90.00
_space_group_name_H-M_alt 'P 1 21/c 1'
_space_group_IT_number 14
_space_group_name_Hall '-P 2ybc'
loop_
_atom_site_label
_atom_site_type_symbol
_atom_site_fract_x
_atom_site_fract_y
_atom_site_fract_z
_atom_site_occupancy
Ga1 Ga 0.1189 0.0397 0.3870 1
P1 P 0.1371 0.2364 0.6521 1
S1 S 0.1935 0.7262 0.9874 1
S2 S 0.2420 0.2315 0.0400 1
S3 S 0.2447 0.0186 0.7758 1
S4 S 0.2698 0.0506 0.2840 1
# VASP energy   -9.270 eV/atom
# E_form   -0.51 eV per atom
# Total magnetic moment   0.0 Bohr magnetons per cell

# PaGaTc2 | the Materials Project database | r²SCAN | optimized geometry
data_PaGaTc2
_cell_length_a 6.4788
_cell_length_b 6.4788
_cell_length_c 6.4788
_cell_angle_alpha 90.00
_cell_angle_beta 90.00
_cell_angle_gamma 90.00
_space_group_name_H-M_alt 'F m -3 m'
_space_group_IT_number 225
_space_group_name_Hall '-F 4 2 3'
loop_
_atom_site_label
_atom_site_type_symbol
_atom_site_fract_x
_atom_site_fract_y
_atom_site_fract_z
_atom_site_occupancy
Pa1 Pa 0.0000 0.0000 0.0000 1
Ga1 Ga 0.0000 0.0000 0.5000 1
Tc1 Tc 0.2500 0.2500 0.2500 1
# VASP energy   -35.336 eV/atom
# E_form   -0.28 eV per atom
# Total magnetic moment   0.0 Bohr magnetons per cell

# GaPb3 | the Materials Project database | r²SCAN | optimized geometry
data_GaPb3
_cell_length_a 4.7771
_cell_length_b 4.7771
_cell_length_c 9.9794
_cell_angle_alpha 90.00
_cell_angle_beta 90.00
_cell_angle_gamma 90.00
_space_group_name_H-M_alt 'I 4/m m m'
_space_group_IT_number 139
_space_group_name_Hall '-I 4 2'
loop_
_atom_site_label
_atom_site_type_symbol
_atom_site_fract_x
_atom_site_fract_y
_atom_site_fract_z
_atom_site_occupancy
Ga1 Ga 0.0000 0.0000 0.0000 1
Pb1 Pb 0.0000 0.0000 0.5000 1
Pb2 Pb 0.0000 0.5000 0.2500 1
# VASP energy   -44.971 eV/atom
# E_form   0.10 eV per atom
# Total magnetic moment   0.0 Bohr magnetons per cell

# Ga2PbSe4 | the Materials Project database | r²SCAN | optimized geometry
data_Ga2PbSe4
_cell_length_a 21.4353
_cell_length_b 12.7871
_cell_length_c 15.2782
_cell_angle_alpha 90.00
_cell_angle_beta 134.52
_cell_angle_gamma 90.00
_space_group_name_H-M_alt 'C 1 2/c 1'
_space_group_IT_number 15
_space_group_name_Hall '-C 2yc'
loop_
_atom_site_label
_atom_site_type_symbol
_atom_site_fract_x
_atom_site_fract_y
_atom_site_fract_z
_atom_site_occupancy
Ga1 Ga 0.0112 0.1233 0.9996 1
Ga2 Ga 0.0548 0.4161 0.5009 1
Ga3 Ga 0.1960 0.1660 0.0009 1
Ga4 Ga 0.2384 0.3733 0.4996 1
Pb1 Pb 0.0000 0.1250 0.2500 1
Pb2 Pb 0.0000 0.3750 0.7500 1
Pb3 Pb 0.2477 0.3750 0.2454 1
Se1 Se 0.0821 0.2348 0.5024 1
Se2 Se 0.0840 0.0009 0.1686 1
Se3 Se 0.0841 0.4990 0.1692 1
Se4 Se 0.0929 0.2494 0.9989 1
Se5 Se 0.1562 0.4994 0.4994 1
Se6 Se 0.1652 0.2486 0.8308 1
Se7 Se 0.1656 0.2490 0.3314 1
Se8 Se 0.1706 0.0151 0.5028 1
# VASP energy   -20.201 eV/atom
# E_form   -0.71 eV per atom
# Total magnetic moment   0.0 Bohr magnetons per cell

# Ga5Pd | the Materials Project database | r²SCAN | optimized geometry
data_Ga5Pd
_cell_length_a 6.4510
_cell_length_b 6.4510
_cell_length_c 9.8762
_cell_angle_alpha 90.00
_cell_angle_beta 90.00
_cell_angle_gamma 90.00
_space_group_name_H-M_alt 'I 4/m c m'
_space_group_IT_number 140
_space_group_name_Hall '-I 4 2c'
loop_
_atom_site_label
_atom_site_type_symbol
_atom_site_fract_x
_atom_site_fract_y
_atom_site_fract_z
_atom_site_occupancy
Ga1 Ga 0.0000 0.0000 0.0000 1
Ga2 Ga 0.1453 0.3547 0.1400 1
Pd1 Pd 0.0000 0.0000 0.2500 1
# VASP energy   -13.587 eV/atom
# E_form   -0.22 eV per atom
# Total magnetic moment   0.0 Bohr magnetons per cell

# GaPd3 | the Materials Project database | r²SCAN | optimized geometry
data_GaPd3
_cell_length_a 3.8884
_cell_length_b 3.8884
_cell_length_c 3.8884
_cell_angle_alpha 90.00
_cell_angle_beta 90.00
_cell_angle_gamma 90.00
_space_group_name_H-M_alt 'P m -3 m'
_space_group_IT_number 221
_space_group_name_Hall '-P 4 2 3'
loop_
_atom_site_label
_atom_site_type_symbol
_atom_site_fract_x
_atom_site_fract_y
_atom_site_fract_z
_atom_site_occupancy
Ga1 Ga 0.0000 0.0000 0.0000 1
Pd1 Pd 0.0000 0.5000 0.5000 1
# VASP energy   -20.523 eV/atom
# E_form   -0.44 eV per atom
# Total magnetic moment   0.0 Bohr magnetons per cell